The following is a r2SCAN calculation of an optimized crystal structure of In2P3Se9, from the Materials Project database.

Energy of formation: -4.96 eV/f.u.
Crystal system: triclinic
Symmetry: No. 2

a = 7.908 Å, b = 11.170 Å, c = 17.727 Å
α = 83.85°, β = 89.60°, γ = 76.23°
Fractional coordinates of all 56 atoms:
In 0.008 0.323 0.492
In 0.174 0.851 0.324
In 0.325 0.350 0.175
In 0.489 0.823 0.008
In 0.511 0.177 0.992
In 0.675 0.650 0.825
In 0.826 0.149 0.676
In 0.992 0.677 0.508
P 0.032 0.535 0.308
P 0.131 0.977 0.530
P 0.200 0.040 0.141
P 0.303 0.486 0.360
P 0.368 0.532 0.971
P 0.471 0.980 0.192
P 0.529 0.020 0.808
P 0.632 0.468 0.029
P 0.697 0.514 0.640
P 0.800 0.960 0.859
P 0.869 0.023 0.470
P 0.968 0.465 0.692
Se 0.066 0.560 0.187
Se 0.071 0.892 0.174
Se 0.073 0.217 0.178
Se 0.092 0.284 0.651
Se 0.092 0.947 0.651
Se 0.094 0.614 0.656
Se 0.233 0.699 0.020
Se 0.238 0.383 0.014
Se 0.241 0.048 0.015
Se 0.260 0.463 0.485
Se 0.263 0.800 0.485
Se 0.267 0.117 0.485
Se 0.403 0.199 0.845
Se 0.403 0.536 0.850
Se 0.407 0.865 0.849
Se 0.428 0.634 0.324
Se 0.431 0.306 0.325
Se 0.440 0.972 0.313
Se 0.560 0.028 0.687
Se 0.569 0.694 0.675
Se 0.572 0.366 0.676
Se 0.593 0.135 0.151
Se 0.597 0.464 0.150
Se 0.597 0.801 0.155
Se 0.733 0.883 0.515
Se 0.737 0.200 0.515
Se 0.740 0.537 0.515
Se 0.759 0.952 0.985
Se 0.762 0.617 0.986
Se 0.767 0.301 0.980
Se 0.906 0.386 0.344
Se 0.908 0.053 0.349
Se 0.908 0.716 0.349
Se 0.927 0.783 0.822
Se 0.929 0.108 0.826
Se 0.934 0.440 0.813